(1)
EuFe4P12, optimized geometry, DFT GGA-PBE; space-group type = Im-3, No. 204; energy relative to the elements = -563 meV/atom; calculated total energy = -118.7 eV per cell
1.0
-3.9052 3.9052 3.9052
3.9052 -3.9052 3.9052
3.9052 3.9052 -3.9052
Eu Fe P
1 4 12
direct
0.0000 0.0000 0.0000
0.0000 0.0000 0.5000
0.0000 0.5000 0.0000
0.5000 0.0000 0.0000
0.5000 0.5000 0.5000
0.1508 0.5039 0.3532
0.1508 0.7976 0.6468
0.2024 0.3532 0.8492
0.3532 0.1508 0.5039
0.3532 0.8492 0.2024
0.4961 0.6468 0.8492
0.5039 0.3532 0.1508
0.6468 0.1508 0.7976
0.6468 0.8492 0.4961
0.7976 0.6468 0.1508
0.8492 0.2024 0.3532
0.8492 0.4961 0.6468

---

(2)
Eu2FeP3Pt7, optimized geometry, DFT GGA-PBE; space-group type = I-4m2, No. 119; energy relative to the elements = -776 meV/atom; calculated total energy = -97.8 eV per cell
1.0
-2.0419 2.0419 13.4923
2.0419 -2.0419 13.4923
2.0419 2.0419 -13.4923
Eu Fe P Pt
2 1 3 7
direct
0.1648 0.1648 0.0000
0.8352 0.8352 0.0000
0.0000 0.0000 0.0000
0.3802 0.3802 0.0000
0.6198 0.6198 0.0000
0.7500 0.2500 0.5000
0.0707 0.5707 0.5000
0.2929 0.2929 0.0000
0.4293 0.9293 0.5000
0.5000 0.5000 0.0000
0.5703 0.0703 0.5000
0.7071 0.7071 0.0000
0.9297 0.4297 0.5000

---

(3)
EuFe2Si2, optimized geometry, DFT GGA-PBE; space-group type = I4/mmm, No. 139; energy relative to the elements = -459 meV/atom; calculated total energy = -81.0 eV per cell
1.0
4.0129 0.0000 0.0000
0.0000 4.0129 0.0000
0.0000 0.0000 9.8476
Eu Fe Si
2 4 4
direct
0.0000 0.0000 0.0000
0.5000 0.5000 0.5000
0.0000 0.5000 0.2500
0.0000 0.5000 0.7500
0.5000 0.0000 0.2500
0.5000 0.0000 0.7500
0.0000 0.0000 0.3588
0.0000 0.0000 0.6412
0.5000 0.5000 0.1412
0.5000 0.5000 0.8588

---

(4)
Eu5Ga3, optimized geometry, DFT GGA-PBE; space-group type = C2/m, No. 12; energy relative to the elements = -332 meV/atom; calculated total energy = -126.0 eV per cell
1.0
4.6163 -8.0562 0.0000
4.6163 8.0562 0.0000
-0.3182 0.0000 6.9245
Eu Ga
10 6
direct
0.1449 0.8551 0.0000
0.1840 0.8160 0.5000
0.2433 0.4930 0.7609
0.2613 0.2613 0.2699
0.4930 0.2433 0.7609
0.5070 0.7567 0.2391
0.7387 0.7387 0.7301
0.7567 0.5070 0.2391
0.8160 0.1840 0.5000
0.8551 0.1449 0.0000
0.0844 0.0844 0.6696
0.0964 0.5025 0.1967
0.4975 0.9036 0.8033
0.5025 0.0964 0.1967
0.9036 0.4975 0.8033
0.9156 0.9156 0.3304

---

(5)
EuGa2, optimized geometry, DFT GGA-PBE; space-group type = Imma, No. 74; energy relative to the elements = -561 meV/atom; calculated total energy = -72.0 eV per cell
1.0
4.6320 0.0000 0.0000
0.0000 7.5818 0.0000
0.0000 0.0000 7.6769
Eu Ga
4 8
direct
0.0000 0.2500 0.0461
0.0000 0.7500 0.9539
0.5000 0.2500 0.4539
0.5000 0.7500 0.5461
0.0000 0.0633 0.6614
0.0000 0.4367 0.6614
0.0000 0.5633 0.3386
0.0000 0.9367 0.3386
0.5000 0.0633 0.8386
0.5000 0.4367 0.8386
0.5000 0.5633 0.1614
0.5000 0.9367 0.1614

---

(6)
EuGa4, optimized geometry, DFT GGA-PBE; space-group type = I4/mmm, No. 139; energy relative to the elements = -444 meV/atom; calculated total energy = -49.2 eV per cell
1.0
4.4574 0.0000 0.0000
0.0000 4.4574 0.0000
0.0000 0.0000 10.7151
Eu Ga
2 8
direct
0.0000 0.0000 0.0000
0.5000 0.5000 0.5000
0.0000 0.0000 0.3829
0.0000 0.0000 0.6171
0.0000 0.5000 0.2500
0.0000 0.5000 0.7500
0.5000 0.0000 0.2500
0.5000 0.0000 0.7500
0.5000 0.5000 0.1171
0.5000 0.5000 0.8829